Here is a relaxed BaSrNdWO6 crystal from the Materials Project. Energies are from PBE+U.

```
40
Lattice="-5.187 -3.957 5.604 3.942 -7.460 -1.619 5.582 1.585 6.286" Properties=species:S:1:pos:R:3 pbc="T T T"
Ba 0.000 0.000 0.000
Ba 2.168 -4.916 5.136
Ba -2.594 -1.979 2.802
Ba 2.791 0.793 3.143
Sr 4.762 -2.937 2.334
Sr 0.197 -1.186 5.945
Sr -0.623 -5.709 1.992
Sr 1.971 -3.730 -0.810
Nd 3.242 -7.354 7.701
Nd 3.879 -1.688 5.707
Nd 3.045 -6.171 1.769
Nd -1.493 -4.452 5.366
W 1.102 -2.481 2.564
W 0.450 -8.142 4.571
W 1.290 -3.671 8.506
W 5.831 -5.370 4.901
O 2.360 -1.310 1.487
O -0.487 -9.222 6.010
O -0.185 -4.431 9.672
O 6.985 -4.702 3.373
O -0.104 -0.892 2.925
O 6.758 -7.172 4.843
O 1.359 -9.815 3.876
O 0.660 -1.785 8.899
O 0.125 -2.978 0.875
O 2.544 -3.698 10.081
O 7.149 -4.613 6.223
O -1.145 -8.375 3.364
O -0.172 -3.723 3.563
O 1.297 -7.021 3.090
O 2.845 -2.960 7.391
O 4.704 -5.960 6.497
O 2.402 -3.981 2.239
O 4.900 -3.589 4.828
O -0.418 -6.519 5.383
O 1.789 -5.576 8.092
O 2.028 -1.988 4.283
O 0.064 -3.596 6.910
O 4.502 -6.171 3.619
O 2.080 -7.909 5.730
```

Results
Formation energy in eV/atom: -3.0509
ρ in g/cm³: 6.82
Uncorrected energy in eV/atom: -7.30

Here is a relaxed LiVF3 crystal from the Materials Project. Energies are from PBE+U.

```
10
Lattice="2.325 4.828 2.367 -4.707 0.411 -3.463 -3.507 -0.612 4.694" Properties=species:S:1:pos:R:3 pbc="T T T"
Li -2.649 2.896 3.944
Li -3.240 1.730 -0.346
V -1.754 -0.306 2.347
V 0.000 0.000 0.000
F -2.639 1.073 3.714
F -3.933 3.920 3.118
F -4.513 0.930 -1.402
F -1.375 3.696 5.000
F -1.956 0.707 0.480
F -3.250 3.553 -0.116
```

Results
Formation energy in eV/atom: -2.9729
ρ in g/cm³: 2.18
Uncorrected energy in eV/atom: -5.70

Here is a relaxed Ca4Al3CrSiBO14 crystal from the Materials Project. Energies are from PBE+U.

```
48
Lattice="4.115 -1.289 2.644 -6.396 -5.591 6.916 1.038 -8.864 -6.146" Properties=species:S:1:pos:R:3 pbc="T T T"
Ca 1.480 -10.017 -2.614
Ca -2.236 -8.380 3.917
Ca -0.392 -5.315 2.604
Ca -3.071 -12.543 2.989
Ca -2.495 -5.530 5.938
Ca 1.222 -7.167 -0.593
Ca -1.066 -10.691 0.714
Ca 1.613 -3.463 0.328
Al 0.906 -4.174 6.063
Al 4.622 -5.811 -0.468
Al 1.372 -8.475 3.127
Al 5.089 -10.112 -3.405
Al 0.065 -13.358 2.243
Al 2.744 -6.131 1.858
Cr -5.259 -7.218 4.707
Cr -1.543 -8.854 -1.822
Si 2.394 -3.552 3.591
Si -0.285 -10.780 3.976
B -3.371 -5.662 2.792
B 0.345 -7.299 -3.740
O -3.715 -6.492 4.088
O 0.001 -8.129 -2.444
O 1.989 -4.621 2.411
O -0.690 -11.849 2.796
O 1.001 -3.398 4.464
O -1.678 -10.626 4.849
O -2.360 -6.587 2.105
O 1.357 -8.224 -4.426
O 0.296 -12.982 0.523
O 2.975 -5.754 0.139
O -1.564 -8.434 -0.047
O -5.282 -6.797 6.481
O -1.183 -10.651 -1.698
O -4.900 -9.015 4.833
O -1.314 -14.461 2.276
O 1.365 -7.233 1.891
O -2.556 -4.527 3.372
O 1.161 -6.164 -3.159
O 2.493 -2.113 2.772
O -0.186 -9.341 3.157
O -0.403 -2.657 1.788
O -3.082 -9.885 2.173
O -0.399 -6.599 4.662
O 3.317 -8.235 -1.868
O -2.644 -12.485 0.509
O 0.035 -5.257 0.124
O 1.171 -9.714 -0.093
O -2.545 -8.075 6.437
```

Results
Formation energy in eV/atom: -3.2246
ρ in g/cm³: 3.08
Uncorrected energy in eV/atom: -7.34